# 1
VASP calculation (PBE-GGA) on crystalline NaMg14V at its relaxed geometry.

```
data_NaMg14V
_space_group_name_H-M_alt 'P 1'
_space_group_IT_number 1
_space_group_name_Hall 'P 1'
_cell_length_a 10.234
_cell_length_b 6.384
_cell_length_c 6.384
_cell_angle_alpha 60.53
_cell_angle_beta 90.00
_cell_angle_gamma 90.00
loop_
_atom_site_label
_atom_site_type_symbol
_atom_site_fract_x
_atom_site_fract_y
_atom_site_fract_z
Na1 Na 0.000 0.000 0.000
Mg1 Mg 0.000 0.001 0.501
Mg2 Mg 0.000 0.501 0.001
Mg3 Mg 0.245 0.664 0.664
Mg4 Mg 0.249 0.175 0.661
Mg5 Mg 0.249 0.661 0.175
Mg6 Mg 0.253 0.169 0.169
Mg7 Mg 0.500 0.000 0.000
Mg8 Mg 0.500 0.000 0.501
Mg9 Mg 0.500 0.500 0.500
Mg10 Mg 0.500 0.501 0.000
Mg11 Mg 0.747 0.169 0.169
Mg12 Mg 0.751 0.175 0.661
Mg13 Mg 0.751 0.661 0.175
Mg14 Mg 0.755 0.664 0.664
V1 V 0.000 0.499 0.499
```

Calculated values
Magnetic moment (Bohr magnetons per cell): 3.1
Relative energy among the computed polymorphs (meV per atom): 7.0
Formation energy (eV/atom): 0.120

# 2
VASP calculation (PBE-GGA) on crystalline NaMg14W at its relaxed geometry.

```
data_NaMg14W
_space_group_name_H-M_alt 'P 1'
_space_group_IT_number 1
_space_group_name_Hall 'P 1'
_cell_length_a 6.362
_cell_length_b 6.362
_cell_length_c 10.046
_cell_angle_alpha 90.00
_cell_angle_beta 90.00
_cell_angle_gamma 120.00
loop_
_atom_site_label
_atom_site_type_symbol
_atom_site_fract_x
_atom_site_fract_y
_atom_site_fract_z
Na1 Na 0.000 0.000 0.000
Mg1 Mg 0.005 0.502 0.000
Mg2 Mg 0.162 0.324 0.263
Mg3 Mg 0.162 0.324 0.737
Mg4 Mg 0.162 0.838 0.263
Mg5 Mg 0.162 0.838 0.737
Mg6 Mg 0.498 0.502 0.000
Mg7 Mg 0.498 0.995 0.000
Mg8 Mg 0.500 0.001 0.500
Mg9 Mg 0.500 0.500 0.500
Mg10 Mg 0.667 0.333 0.248
Mg11 Mg 0.667 0.333 0.752
Mg12 Mg 0.676 0.838 0.263
Mg13 Mg 0.676 0.838 0.737
Mg14 Mg 0.999 0.500 0.500
W1 W 0.000 0.000 0.500
```

Calculated values
Magnetic moment (Bohr magnetons per cell): 0.0
Relative energy among the computed polymorphs (meV per atom): 0.0
Formation energy (eV/atom): 0.183

# 3
VASP calculation (PBE-GGA) on crystalline NaMg14W at its relaxed geometry.

```
data_NaMg14W
_space_group_name_H-M_alt 'P 1'
_space_group_IT_number 1
_space_group_name_Hall 'P 1'
_cell_length_a 10.058
_cell_length_b 6.311
_cell_length_c 6.311
_cell_angle_alpha 61.86
_cell_angle_beta 90.00
_cell_angle_gamma 90.00
loop_
_atom_site_label
_atom_site_type_symbol
_atom_site_fract_x
_atom_site_fract_y
_atom_site_fract_z
Na1 Na 0.000 0.000 0.000
Mg1 Mg 0.000 0.000 0.501
Mg2 Mg 0.000 0.501 0.000
Mg3 Mg 0.239 0.661 0.661
Mg4 Mg 0.242 0.184 0.659
Mg5 Mg 0.242 0.659 0.184
Mg6 Mg 0.254 0.170 0.170
Mg7 Mg 0.500 0.500 0.500
Mg8 Mg 0.500 0.503 0.998
Mg9 Mg 0.500 0.998 0.503
Mg10 Mg 0.500 0.999 0.999
Mg11 Mg 0.746 0.170 0.170
Mg12 Mg 0.758 0.184 0.659
Mg13 Mg 0.758 0.659 0.184
Mg14 Mg 0.761 0.661 0.661
W1 W 0.000 0.494 0.494
```

Calculated values
Magnetic moment (Bohr magnetons per cell): 0.0
Relative energy among the computed polymorphs (meV per atom): 18.9
Formation energy (eV/atom): 0.202

# 4
VASP calculation (PBE-GGA) on crystalline Mg7Nb at its relaxed geometry.

```
data_Mg7Nb
_space_group_name_H-M_alt 'P 1'
_space_group_IT_number 1
_space_group_name_Hall 'P 1'
_cell_length_a 6.210
_cell_length_b 6.210
_cell_length_c 6.210
_cell_angle_alpha 60.00
_cell_angle_beta 60.00
_cell_angle_gamma 60.00
loop_
_atom_site_label
_atom_site_type_symbol
_atom_site_fract_x
_atom_site_fract_y
_atom_site_fract_z
Mg1 Mg 0.000 0.000 0.000
Mg2 Mg 0.000 0.000 0.500
Mg3 Mg 0.000 0.500 0.000
Mg4 Mg 0.000 0.500 0.500
Mg5 Mg 0.500 0.000 0.000
Mg6 Mg 0.500 0.000 0.500
Mg7 Mg 0.500 0.500 0.000
Nb1 Nb 0.500 0.500 0.500
```

Calculated values
Magnetic moment (Bohr magnetons per cell): 0.0
Relative energy among the computed polymorphs (meV per atom): 0.0
Formation energy (eV/atom): 0.113

# 5
VASP calculation (PBE-GGA) on crystalline Mg7Nb at its relaxed geometry.

```
data_Mg7Nb
_space_group_name_H-M_alt 'P 1'
_space_group_IT_number 1
_space_group_name_Hall 'P 1'
_cell_length_a 6.310
_cell_length_b 6.310
_cell_length_c 5.005
_cell_angle_alpha 90.00
_cell_angle_beta 90.00
_cell_angle_gamma 120.00
loop_
_atom_site_label
_atom_site_type_symbol
_atom_site_fract_x
_atom_site_fract_y
_atom_site_fract_z
Mg1 Mg 0.000 0.000 0.000
Mg2 Mg 0.015 0.508 0.000
Mg3 Mg 0.336 0.168 0.500
Mg4 Mg 0.492 0.508 0.000
Mg5 Mg 0.492 0.985 0.000
Mg6 Mg 0.832 0.168 0.500
Mg7 Mg 0.832 0.664 0.500
Nb1 Nb 0.333 0.667 0.500
```

Calculated values
Magnetic moment (Bohr magnetons per cell): 0.0
Relative energy among the computed polymorphs (meV per atom): 42.6
Formation energy (eV/atom): 0.155

# 6
VASP calculation (PBE-GGA) on crystalline Mg6NbNi at its relaxed geometry.

```
data_Mg6NbNi
_space_group_name_H-M_alt 'P 1'
_space_group_IT_number 1
_space_group_name_Hall 'P 1'
_cell_length_a 4.802
_cell_length_b 6.203
_cell_length_c 6.203
_cell_angle_alpha 56.33
_cell_angle_beta 90.00
_cell_angle_gamma 90.00
loop_
_atom_site_label
_atom_site_type_symbol
_atom_site_fract_x
_atom_site_fract_y
_atom_site_fract_z
Mg1 Mg 0.000 0.000 0.000
Mg2 Mg 0.000 0.007 0.507
Mg3 Mg 0.000 0.483 0.483
Mg4 Mg 0.000 0.507 0.007
Mg5 Mg 0.500 0.348 0.850
Mg6 Mg 0.500 0.850 0.348
Nb1 Nb 0.500 0.850 0.850
Ni1 Ni 0.500 0.337 0.337
```

Calculated values
Magnetic moment (Bohr magnetons per cell): 0.0
Relative energy among the computed polymorphs (meV per atom): 46.2
Formation energy (eV/atom): 0.180

# 7
VASP calculation (PBE-GGA) on crystalline Mg6NbNi at its relaxed geometry.

```
data_Mg6NbNi
_space_group_name_H-M_alt 'P 1'
_space_group_IT_number 1
_space_group_name_Hall 'P 1'
_cell_length_a 4.775
_cell_length_b 5.931
_cell_length_c 10.992
_cell_angle_alpha 90.00
_cell_angle_beta 90.00
_cell_angle_gamma 90.00
loop_
_atom_site_label
_atom_site_type_symbol
_atom_site_fract_x
_atom_site_fract_y
_atom_site_fract_z
Ni1 Ni 0.000 0.000 0.801
Mg1 Mg 0.500 0.746 0.425
Mg2 Mg 0.500 0.246 0.925
Mg3 Mg 0.000 0.000 0.324
Nb1 Nb 0.500 0.000 0.691
Ni2 Ni 0.000 0.500 0.301
Mg4 Mg 0.000 0.500 0.824
Mg5 Mg 0.000 0.260 0.082
Mg6 Mg 0.500 0.000 0.170
Mg7 Mg 0.000 0.760 0.582
Mg8 Mg 0.500 0.500 0.670
Mg9 Mg 0.500 0.254 0.425
Mg10 Mg 0.500 0.754 0.925
Mg11 Mg 0.000 0.740 0.082
Nb2 Nb 0.500 0.500 0.191
Mg12 Mg 0.000 0.240 0.582
```

Calculated values
Magnetic moment (Bohr magnetons per cell): 0.0
Relative energy among the computed polymorphs (meV per atom): 0.0
Formation energy (eV/atom): 0.134

# 8
VASP calculation (PBE-GGA) on crystalline MgNb4O10 at its relaxed geometry.

```
data_MgNb4O10
_space_group_name_H-M_alt 'P 1'
_space_group_IT_number 1
_space_group_name_Hall 'P 1'
_cell_length_a 6.611
_cell_length_b 3.932
_cell_length_c 8.308
_cell_angle_alpha 90.00
_cell_angle_beta 92.38
_cell_angle_gamma 90.00
loop_
_atom_site_label
_atom_site_type_symbol
_atom_site_fract_x
_atom_site_fract_y
_atom_site_fract_z
Mg1 Mg 0.000 0.000 0.000
Nb1 Nb 0.407 0.000 0.843
Nb2 Nb 0.472 0.500 0.506
Nb3 Nb 0.847 0.000 0.650
Nb4 Nb 0.926 0.500 0.323
O1 O 0.110 0.000 0.760
O2 O 0.210 0.500 0.420
O3 O 0.310 0.000 0.042
O4 O 0.431 0.500 0.770
O5 O 0.508 0.000 0.571
O6 O 0.621 0.500 0.319
O7 O 0.729 0.000 0.863
O8 O 0.835 0.500 0.598
O9 O 0.912 0.000 0.391
O10 O 0.966 0.500 0.102
```

Calculated values
Magnetic moment (Bohr magnetons per cell): 0.4
Relative energy among the computed polymorphs (meV per atom): 40.8
Formation energy (eV/atom): -2.916

# 9
VASP calculation (PBE-GGA) on crystalline MgNb4O10 at its relaxed geometry.

```
data_MgNb4O10
_space_group_name_H-M_alt 'P 1'
_space_group_IT_number 1
_space_group_name_Hall 'P 1'
_cell_length_a 5.249
_cell_length_b 5.530
_cell_length_c 7.454
_cell_angle_alpha 74.45
_cell_angle_beta 70.58
_cell_angle_gamma 89.19
loop_
_atom_site_label
_atom_site_type_symbol
_atom_site_fract_x
_atom_site_fract_y
_atom_site_fract_z
Mg1 Mg 0.000 0.000 0.000
Nb1 Nb 0.139 0.689 0.729
Nb2 Nb 0.402 0.807 0.185
Nb3 Nb 0.598 0.193 0.815
Nb4 Nb 0.861 0.311 0.271
O1 O 0.069 0.011 0.245
O2 O 0.153 0.488 0.281
O3 O 0.251 0.360 0.876
O4 O 0.343 0.846 0.904
O5 O 0.378 0.770 0.473
O6 O 0.622 0.230 0.527
O7 O 0.657 0.154 0.096
O8 O 0.749 0.640 0.124
O9 O 0.847 0.512 0.719
O10 O 0.931 0.989 0.755
```

Calculated values
Magnetic moment (Bohr magnetons per cell): 0.0
Relative energy among the computed polymorphs (meV per atom): 64.4
Formation energy (eV/atom): -2.893

# 10
VASP calculation (PBE-GGA) on crystalline MgNb4O10 at its relaxed geometry.

```
data_MgNb4O10
_space_group_name_H-M_alt 'P 1'
_space_group_IT_number 1
_space_group_name_Hall 'P 1'
_cell_length_a 6.894
_cell_length_b 3.974
_cell_length_c 7.356
_cell_angle_alpha 90.00
_cell_angle_beta 91.06
_cell_angle_gamma 90.00
loop_
_atom_site_label
_atom_site_type_symbol
_atom_site_fract_x
_atom_site_fract_y
_atom_site_fract_z
Mg1 Mg 0.000 0.000 0.000
Nb1 Nb 0.197 0.000 0.489
Nb2 Nb 0.314 0.500 0.858
Nb3 Nb 0.721 0.000 0.312
Nb4 Nb 0.830 0.500 0.666
O1 O 0.000 0.500 0.895
O2 O 0.035 0.000 0.276
O3 O 0.163 0.500 0.555
O4 O 0.256 0.000 0.792
O5 O 0.352 0.500 0.095
O6 O 0.450 0.000 0.408
O7 O 0.581 0.500 0.756
O8 O 0.715 0.000 0.068
O9 O 0.755 0.500 0.390
O10 O 0.870 0.000 0.617
```

Calculated values
Magnetic moment (Bohr magnetons per cell): 0.1
Relative energy among the computed polymorphs (meV per atom): 62.7
Formation energy (eV/atom): -2.895

# 11
VASP calculation (PBE-GGA) on crystalline MgNb4O10 at its relaxed geometry.

```
data_MgNb4O10
_space_group_name_H-M_alt 'P 1'
_space_group_IT_number 1
_space_group_name_Hall 'P 1'
_cell_length_a 5.113
_cell_length_b 5.689
_cell_length_c 7.020
_cell_angle_alpha 76.97
_cell_angle_beta 69.22
_cell_angle_gamma 89.94
loop_
_atom_site_label
_atom_site_type_symbol
_atom_site_fract_x
_atom_site_fract_y
_atom_site_fract_z
Mg1 Mg 0.000 0.000 0.000
Nb1 Nb 0.160 0.446 0.623
Nb2 Nb 0.356 0.848 0.280
Nb3 Nb 0.635 0.924 0.683
Nb4 Nb 0.892 0.382 0.216
O1 O 0.010 0.801 0.547
O2 O 0.100 0.687 0.151
O3 O 0.182 0.149 0.173
O4 O 0.316 0.130 0.723
O5 O 0.417 0.649 0.712
O6 O 0.502 0.498 0.343
O7 O 0.635 0.021 0.336
O8 O 0.656 0.897 0.954
O9 O 0.895 0.289 0.534
O10 O 0.898 0.378 0.943
```

Calculated values
Magnetic moment (Bohr magnetons per cell): 0.0
Relative energy among the computed polymorphs (meV per atom): 0.0
Formation energy (eV/atom): -2.957

# 12
VASP calculation (PBE-GGA) on crystalline Mg3Nb6O11 at its relaxed geometry.

```
data_Mg3Nb6O11
_space_group_name_H-M_alt 'P 1'
_space_group_IT_number 1
_space_group_name_Hall 'P 1'
_cell_length_a 6.116
_cell_length_b 6.116
_cell_length_c 7.557
_cell_angle_alpha 90.00
_cell_angle_beta 90.00
_cell_angle_gamma 120.00
loop_
_atom_site_label
_atom_site_type_symbol
_atom_site_fract_x
_atom_site_fract_y
_atom_site_fract_z
Mg1 Mg 0.000 0.000 0.000
Mg2 Mg 0.333 0.667 0.076
Mg3 Mg 0.667 0.333 0.924
Nb1 Nb 0.154 0.309 0.653
Nb2 Nb 0.154 0.846 0.653
Nb3 Nb 0.309 0.154 0.347
Nb4 Nb 0.691 0.846 0.653
Nb5 Nb 0.846 0.154 0.347
Nb6 Nb 0.846 0.691 0.347
O1 O 0.000 0.500 0.500
O2 O 0.156 0.312 0.173
O3 O 0.156 0.844 0.173
O4 O 0.312 0.156 0.827
O5 O 0.333 0.667 0.813
O6 O 0.500 0.000 0.500
O7 O 0.500 0.500 0.500
O8 O 0.667 0.333 0.187
O9 O 0.688 0.844 0.173
O10 O 0.844 0.156 0.827
O11 O 0.844 0.688 0.827
```

Calculated values
Formation energy (eV/atom): -2.766

Going through the records in order, we get E values of -1.93; -2.11; -2.09; -2.55; -2.51; -3.01; -3.05; -8.56; -8.53; -8.54; -8.60; -8.38 eV/atom.